First-principles (GGA+U) data for a relaxed structure of Mg6AlFeO8, as listed in the Materials Project database.

**Uncorrected energy**: -6.028 eV/atom
**Energy of formation**: -2.6745 eV/atom
**Spin magnetization**: 3.2 Bohr magnetons per cell

Cell: 4.2437 4.2437 8.6378 Å, 90.00 90.00 90.00°
Last column: nearest neighbours and their distance in Å.
Space group P4/mmm (No. 123)
Asymmetric unit:
Mg: 0.0000 0.0000 0.0000  4 O 2.12
Mg: 0.0000 0.5000 0.2542  6 O 2.12-2.20
Mg: 0.5000 0.5000 0.0000  6 O 2.02-2.12
Al: 0.0000 0.0000 0.5000  6 O 1.93-2.12
Fe: 0.5000 0.5000 0.5000  6 O 2.12-2.30
O: 0.0000 0.0000 0.2763  1 Al 1.93, 4 Mg 2.13
O: 0.0000 0.5000 0.0000  6 Mg 2.12-2.20
O: 0.0000 0.5000 0.5000  2 Fe 2.12, 2 Al 2.12, 2 Mg 2.12
O: 0.5000 0.5000 0.2333  5 Mg 2.02-2.13

=====

First-principles (GGA+U) data for a relaxed structure of Pm2W3O12, as listed in the Materials Project database.

**Uncorrected energy**: -7.802 eV/atom
**Energy of formation**: -2.7323 eV/atom

Cell: 7.9041 11.6910 11.6724 Å, 90.00 109.69 90.00°
Last column: nearest neighbours and their distance in Å.
Space group C2/c (No. 15)
Asymmetric unit:
Pm: 0.1788 0.1270 0.0937  8 O 2.39-2.51
W: 0.0000 0.1174 0.7500  4 O 1.80-1.85
W: 0.1544 0.3553 0.5493  4 O 1.78-1.93
O: 0.0090 0.0410 0.8904  1 W 1.85
O: 0.0743 0.3000 0.9616  1 W 1.88
O: 0.1131 0.2129 0.4249  2 W 1.93-2.16
O: 0.1413 0.4664 0.4420  1 W 1.78
O: 0.1941 0.2080 0.7818  1 W 1.80
O: 0.2236 0.4272 0.6971  1 W 1.83

=====

First-principles (GGA+U) data for a relaxed structure of MgMn5CrP6O24, as listed in the Materials Project database.

**Uncorrected energy**: -7.424 eV/atom
**Energy of formation**: -2.5197 eV/atom
**Spin magnetization**: 25.0 Bohr magnetons per cell

Cell: 8.5144 8.5805 8.6572 Å, 92.19 117.07 118.94°
Last column: nearest neighbours and their distance in Å.
Space group P1 (No. 1)
Asymmetric unit:
Mg: 0.0000 0.0000 0.0000  6 O 2.11-2.30
Mn: 0.1813 0.4978 0.2815  5 O 1.89-2.08
Mn: 0.5700 0.7661 0.9633  5 O 1.89-2.04
Mn: 0.6097 0.2856 0.4928  5 O 1.88-2.07
Mn: 0.8649 0.1202 0.5980  5 O 2.15-2.30
Mn: 0.8719 0.6133 0.1350  5 O 2.15-2.31
Cr: 0.1759 0.9863 0.7729  6 O 1.94-2.09
P: 0.0853 0.5813 0.5812  4 O 1.51-1.58
P: 0.1232 0.1041 0.3956  4 O 1.53-1.57
P: 0.3634 0.8827 0.1642  4 O 1.53-1.57
P: 0.3923 0.3908 0.0928  4 O 1.51-1.59
P: 0.6812 0.6794 0.6726  4 O 1.50-1.61
P: 0.6893 0.1669 0.8836  4 O 1.52-1.59
O: 0.0587 0.0612 0.5401  1 P 1.57
O: 0.0590 0.5709 0.3882  1 P 1.57
O: 0.0592 0.7375 0.6244  1 P 1.52
O: 0.0903 0.2556 0.3320  1 P 1.53
O: 0.1974 0.7172 0.1888  1 P 1.55
O: 0.2067 0.2134 0.9106  1 P 1.59
O: 0.2268 0.9412 0.0201  1 P 1.57
O: 0.2676 0.4539 0.1278  1 P 1.53
O: 0.2894 0.6034 0.7229  1 P 1.51
O: 0.3535 0.1619 0.4866  1 P 1.53
O: 0.4607 0.0885 0.8271  1 P 1.52
O: 0.4757 0.8293 0.0994  1 P 1.53
O: 0.4821 0.6552 0.5225  1 P 1.50
O: 0.5135 0.3380 0.2458  1 P 1.51
O: 0.5462 0.0427 0.3534  1 P 1.56
O: 0.5576 0.5492 0.0595  1 P 1.57
O: 0.7176 0.7077 0.8737  1 P 1.61
O: 0.7195 0.5279 0.6498  1 P 1.51
O: 0.7251 0.1815 0.7233  1 P 1.55
O: 0.7488 0.0238 0.9560  1 P 1.59
O: 0.8413 0.3599 0.0376  1 P 1.54
O: 0.8751 0.8860 0.7146  1 P 1.60
O: 0.8987 0.3829 0.5533  1 P 1.58
O: 0.9802 0.9230 0.2220  1 P 1.57